(1)
This record from the Materials Project describes a relaxed Li2TiB2O6 crystal. The functional is GGA-PBE.

Cell lengths 5.158, 8.909, 11.373 Å; angles 90.00, 115.37, 90.00 degrees
Element x y z (fractional)
Li (0.050, 0.165, 0.366)
Li (0.050, 0.335, 0.866)
Li (0.427, 0.513, 0.098)
Li (0.427, 0.987, 0.598)
Li (0.573, 0.013, 0.402)
Li (0.573, 0.487, 0.902)
Li (0.950, 0.665, 0.134)
Li (0.950, 0.835, 0.634)
Ti (0.483, 0.174, 0.132)
Ti (0.483, 0.326, 0.632)
Ti (0.517, 0.674, 0.368)
Ti (0.517, 0.826, 0.868)
B (0.047, 0.663, 0.876)
B (0.047, 0.837, 0.376)
B (0.467, 0.667, 0.625)
B (0.467, 0.833, 0.125)
B (0.533, 0.167, 0.875)
B (0.533, 0.333, 0.375)
B (0.953, 0.163, 0.624)
B (0.953, 0.337, 0.124)
O (0.129, 0.703, 0.334)
O (0.129, 0.797, 0.834)
O (0.207, 0.538, 0.903)
O (0.207, 0.962, 0.403)
O (0.208, 0.172, 0.608)
O (0.208, 0.328, 0.108)
O (0.374, 0.188, 0.946)
O (0.374, 0.312, 0.446)
O (0.377, 0.709, 0.171)
O (0.377, 0.791, 0.671)
O (0.403, 0.523, 0.650)
O (0.403, 0.977, 0.150)
O (0.597, 0.023, 0.850)
O (0.597, 0.477, 0.350)
O (0.623, 0.209, 0.329)
O (0.623, 0.291, 0.829)
O (0.626, 0.688, 0.554)
O (0.626, 0.812, 0.054)
O (0.792, 0.672, 0.892)
O (0.792, 0.828, 0.392)
O (0.793, 0.038, 0.597)
O (0.793, 0.462, 0.097)
O (0.871, 0.203, 0.166)
O (0.871, 0.297, 0.666)

Calculated values
Its magnetic moment is 0.0 μB per formula unit. As for the volume: 10.73 Å³ per atom. As for the density: 2.52 Mg/m³. As for the crystal system: monoclinic. The raw total energy is -0.5514 Ry per atom. The space group is P2_1/c, No. 14.

(2)
This record from the Materials Project describes a relaxed Na2PtO3 crystal. The functional is GGA-PBE.

Cell lengths 5.651, 5.651, 5.651 Å; angles 147.25, 133.56, 57.99 degrees
Element x y z (fractional)
Na (0.171, 0.171, 0.000)
Na (0.829, 0.829, 0.000)
Pt (0.500, 0.500, 0.000)
O (0.000, 0.500, 0.500)
O (0.367, 0.867, 0.500)
O (0.633, 0.133, 0.500)

Calculated values
Its magnetic moment is 0.2 μB per formula unit. As for the volume: 11.69 Å³ per atom. As for the density: 6.84 Mg/m³. As for the crystal system: orthorhombic. The raw total energy is -0.3632 Ry per atom. The space group is Immm, No. 71.

(3)
This record from the Materials Project describes a relaxed MgH20Br4N4O4 crystal. The functional is GGA-PBE.

Cell lengths 7.125, 7.575, 8.417 Å; angles 88.00, 66.34, 82.23 degrees
Element x y z (fractional)
Mg (0.000, 0.000, 0.000)
H (0.207, 0.342, 0.877)
H (0.225, 0.164, 0.395)
H (0.291, 0.052, 0.525)
H (0.308, 0.420, 0.991)
H (0.317, 0.866, 0.066)
H (0.349, 0.562, 0.542)
H (0.361, 0.069, 0.981)
H (0.409, 0.339, 0.472)
H (0.415, 0.891, 0.853)
H (0.500, 0.392, 0.711)
H (0.570, 0.497, 0.353)
H (0.603, 0.992, 0.210)
H (0.642, 0.941, 0.009)
H (0.660, 0.548, 0.583)
H (0.705, 0.787, 0.130)
H (0.716, 0.324, 0.515)
H (0.763, 0.831, 0.519)
H (0.797, 0.467, 0.086)
H (0.837, 0.738, 0.653)
H (0.896, 0.547, 0.202)
Br (0.122, 0.791, 0.709)
Br (0.193, 0.573, 0.231)
Br (0.914, 0.286, 0.851)
Br (0.920, 0.095, 0.338)
N (0.314, 0.950, 0.969)
N (0.470, 0.458, 0.480)
N (0.598, 0.428, 0.579)
N (0.703, 0.921, 0.100)
O (0.339, 0.140, 0.434)
O (0.341, 0.341, 0.887)
O (0.719, 0.749, 0.617)
O (0.763, 0.548, 0.187)

Calculated values
Its magnetic moment is 0.0 μB per formula unit. As for the volume: 12.49 Å³ per atom. As for the density: 1.95 Mg/m³. As for the crystal system: triclinic. The space group is P1, No. 1. For the relative energy among the computed polymorphs, the calculation gives 0.016 eV/atom.

(4)
This record from the Materials Project describes a relaxed Mg6GaSn crystal. The functional is GGA-PBE.

Cell lengths 5.322, 6.210, 10.845 Å; angles 90.00, 90.00, 90.00 degrees
Element x y z (fractional)
Mg (0.500, 0.751, 0.416)
Mg (0.500, 0.500, 0.667)
Sn (0.000, 0.500, 0.333)
Ga (0.500, 0.000, 0.663)
Mg (0.000, 0.000, 0.333)
Mg (0.500, 0.000, 0.167)
Mg (0.000, 0.753, 0.585)
Mg (0.000, 0.500, 0.833)
Mg (0.000, 0.247, 0.585)
Mg (0.500, 0.249, 0.416)
Mg (0.500, 0.251, 0.916)
Ga (0.500, 0.500, 0.163)
Mg (0.000, 0.747, 0.085)
Sn (0.000, 0.000, 0.833)
Mg (0.000, 0.253, 0.085)
Mg (0.500, 0.749, 0.916)

Calculated values
Its magnetic moment is 0.0 μB per formula unit. As for the volume: 22.40 Å³ per atom. As for the density: 3.10 Mg/m³. For the relative energy among the computed polymorphs, the calculation gives 0.006 eV/atom.